P) A plane-wave DFT calculation with PBE was carried out for a geometry-optimized Ba3Sc2N4 structure.

## Properties
- Crystal system: monoclinic

extended XYZ file:
```
18
Lattice="5.8323 -4.9431 0.0000 5.8323 4.9431 0.0000 -0.4167 0.0000 6.5591" Properties=species:S:1:pos:R:3 pbc="T T T"
Ba 5.5197 4.0994 4.9193
Ba 4.3281 1.6371 2.7536
Ba 7.1280 1.6371 0.5259
Ba 4.1198 -1.6371 6.0331
Ba 6.9197 -1.6371 3.8055
Ba 5.7281 -4.0994 1.6398
Sc 2.2647 1.1014 6.0682
Sc 2.4730 -1.1014 2.7887
Sc 8.7748 1.1014 3.7704
Sc 8.9832 -1.1014 0.4909
N 1.9834 0.6269 3.9882
N 4.4294 2.2131 0.0030
N 2.1918 -0.6269 0.7086
N 7.0268 2.2131 3.2766
N 4.2211 -2.2131 3.2825
N 9.0560 0.6269 5.8504
N 6.8184 -2.2131 6.5561
N 9.2644 -0.6269 2.5709
```

---

Q) A plane-wave DFT calculation with PBE was carried out for a geometry-optimized Ba3Sc2N4 structure.

## Properties
- Crystal system: orthorhombic

extended XYZ file:
```
36
Lattice="6.4895 0.0000 0.0000 0.0000 11.2087 0.0000 0.0000 0.0000 10.4511" Properties=species:S:1:pos:R:3 pbc="T T T"
Ba 0.7633 1.7448 0.8919
Ba 0.7633 3.8595 4.3336
Ba 1.6224 0.0000 4.2933
Ba 1.6224 5.6043 0.9322
Ba 2.4815 7.3491 4.3336
Ba 2.4815 9.4639 0.8919
Ba 4.0080 1.7448 9.5592
Ba 4.0080 3.8595 6.1175
Ba 4.8671 0.0000 6.1578
Ba 4.8671 5.6043 9.5189
Ba 5.7262 7.3491 6.1175
Ba 5.7262 9.4639 9.5592
Sc 1.0498 2.8022 7.8383
Sc 1.6224 0.0000 7.7408
Sc 1.6224 5.6043 7.9358
Sc 2.1950 8.4065 7.8383
Sc 4.2945 2.8022 2.6128
Sc 4.8671 0.0000 2.7103
Sc 4.8671 5.6043 2.5153
Sc 5.4398 8.4065 2.6128
N 0.1186 1.1200 8.7614
N 0.1186 4.4844 6.9153
N 0.8939 7.2091 9.0786
N 0.8939 9.6039 6.5981
N 2.3509 1.6048 6.5981
N 2.3509 3.9995 9.0786
N 3.1262 6.7243 6.9153
N 3.1262 10.0887 8.7614
N 3.3633 1.1200 1.6897
N 3.3633 4.4844 3.5359
N 4.1386 7.2091 1.3725
N 4.1386 9.6039 3.8530
N 5.5956 1.6048 3.8530
N 5.5956 3.9995 1.3725
N 6.3710 6.7243 3.5359
N 6.3710 10.0887 1.6897
```

---

Which one sits at the bottom of the stability order? P) does.

---

P) A plane-wave DFT calculation with PBE was carried out for a geometry-optimized Ba3WN4 structure.

## Properties
- Crystal system: trigonal

extended XYZ file:
```
144
Lattice="18.6989 0.0000 0.0000 -9.3495 16.1938 0.0000 0.0000 0.0000 10.5722" Properties=species:S:1:pos:R:3 pbc="T T T"
Ba 0.0000 0.0000 1.0778
Ba 0.0000 0.0000 6.3639
Ba -5.8763 10.8286 0.7858
Ba -2.6920 5.3405 7.3642
Ba -6.5159 13.7257 8.0883
Ba -0.5278 3.5721 4.4389
Ba -3.4809 9.2369 8.8532
Ba -2.5282 8.4302 5.2162
Ba -5.9920 14.8648 4.4389
Ba 0.7206 3.6880 8.0883
Ba -3.4380 11.9187 3.6207
Ba -0.5838 7.0671 0.0000
Ba 3.3575 1.3290 9.7250
Ba 2.8336 2.4681 2.8022
Ba -2.9373 13.1658 0.0000
Ba 0.7466 7.2570 3.6207
Ba -3.3785 15.8549 7.3642
Ba 5.9710 0.3389 2.0781
Ba 2.9098 5.6904 0.7858
Ba 0.0000 10.7958 1.6243
Ba 0.0000 10.7958 7.2375
Ba 3.4732 5.3652 6.0719
Ba -0.7846 14.1681 5.2162
Ba 3.0905 8.5608 8.8532
Ba 6.4122 3.0280 5.2861
Ba 5.9115 4.2751 8.9068
Ba 0.3904 14.5898 8.8532
Ba 3.3128 9.7892 5.2162
Ba 8.5649 2.0256 10.5023
Ba 5.8686 6.9568 3.5671
Ba 2.6914 13.2118 3.6207
Ba 3.5210 12.1546 0.0000
Ba 9.7398 1.6039 3.5671
Ba 6.8213 7.7635 10.5023
Ba 2.9665 15.8685 0.7858
Ba 9.3495 5.3979 1.9514
Ba 9.3495 5.3979 6.9104
Ba 12.3160 0.3252 6.0719
Ba 6.0705 11.1922 7.3642
Ba 6.6575 10.8533 2.0781
Ba 12.0409 2.9819 8.9068
Ba 8.7657 9.1266 5.2861
Ba 5.7952 14.9738 8.0883
Ba 6.5198 13.9506 4.4389
Ba 12.8705 4.0391 5.2861
Ba 10.0961 8.9367 8.9068
Ba 15.1447 1.2199 2.8022
Ba 8.8217 12.6216 9.7250
Ba 12.6622 6.4046 10.5023
Ba 12.4400 7.6330 3.5671
Ba 15.8693 2.2431 9.7250
Ba 10.0701 12.5058 2.8022
Ba 15.4200 5.0016 2.0781
Ba 12.2593 10.5033 6.0719
W -0.1487 3.6422 0.9037
W -3.0779 8.8868 1.8195
W -6.1209 14.5015 0.9037
W -3.3301 12.3720 7.1700
W 3.2286 1.6923 6.1898
W 0.3001 7.1238 7.1700
W -0.1143 14.4159 1.8195
W 6.0193 3.8218 1.8839
W 3.1922 9.0848 1.8195
W 9.2352 1.7779 7.1056
W 3.0301 12.8917 7.1700
W 6.2716 7.3069 7.1056
W 12.3795 3.3020 1.8839
W 6.2696 14.2439 0.9037
W 9.6495 9.0700 1.8839
W 9.2007 12.5516 6.1898
W 12.5416 7.1089 7.1056
W 15.6191 1.9499 6.1898
N -1.2168 2.4431 1.8987
N -7.6476 13.7901 0.0678
N -3.6516 7.4249 0.7524
N -4.2969 9.3534 3.1940
N -1.2222 4.4566 10.1382
N -4.5772 11.8009 8.4755
N -5.3475 13.1839 2.0516
N -6.6253 16.0260 1.8987
N 1.2307 2.6757 0.0678
N 2.7242 0.1677 7.1848
N -0.3001 5.7975 5.9540
N 1.7018 2.4037 5.3539
N -2.8627 10.4227 0.7342
N -1.2493 7.8067 7.9986
N 0.6056 4.9708 2.0516
N -1.4228 8.5040 2.6514
N -4.1786 13.5550 5.9540
N -2.5729 10.9005 6.2341
N -4.8789 15.0239 10.1382
N 1.4182 6.3294 8.4755
N 4.4706 1.1699 4.8521
N 4.0020 3.0098 7.3377
N -1.9640 13.3724 7.9986
N 1.1958 8.5153 6.2341
N -1.2734 13.1739 2.6514
N 1.7545 8.5032 0.7342
N 5.1708 2.6388 0.6680
N 4.7723 4.3928 3.1894
N 3.3976 7.7959 3.1940
N -1.0935 15.6437 0.7524
N 8.2560 0.5501 6.0385
N 1.3771 12.9717 6.2341
N 2.6962 10.7096 2.6514
N 1.1082 13.4616 0.7342
N 5.0526 6.8404 8.4801
N 7.3854 2.8214 2.7125
N 3.2134 11.2085 7.9986
N 0.8992 15.2382 3.1940
N 8.0761 3.0198 7.9374
N 6.4867 5.7711 6.0203
N 6.7766 5.2933 0.9480
N 4.7451 9.3189 0.7524
N 5.6979 8.7688 6.0385
N 10.2487 0.9555 8.4801
N 3.1590 14.2572 8.4755
N 4.4788 13.0351 5.9540
N 10.4577 2.7321 6.0203
N 7.9267 7.6898 7.9374
N 10.7265 3.2220 0.9480
N 8.1001 8.3871 2.7125
N 4.7419 14.2328 2.0516
N 6.1010 12.9071 10.1382
N 12.5085 1.9365 3.1894
N 8.1273 11.7372 4.8521
N 10.5453 7.6784 0.9480
N 9.0493 10.3963 0.6680
N 14.0913 1.9609 7.3377
N 12.0456 5.4842 7.9374
N 12.5628 4.9853 2.7125
N 11.1040 7.6905 6.0203
N 6.4169 15.9217 0.0678
N 13.8282 3.1587 0.6680
N 7.8421 13.9184 1.8987
N 15.7664 0.2720 5.3539
N 8.1326 13.7507 7.1848
N 9.9551 11.2230 7.3377
N 10.7676 9.8644 3.1894
N 15.4505 3.2867 4.8521
N 12.7471 8.3979 8.4801
N 14.0946 6.8748 6.0385
N 10.5802 13.5181 5.3539
N 17.1916 2.2754 7.1848
```

---

Q) A plane-wave DFT calculation with PBE was carried out for a geometry-optimized Ba3WN4 structure.

## Properties
- Crystal system: orthorhombic

extended XYZ file:
```
64
Lattice="10.5626 0.0000 0.0000 0.0000 12.4222 0.0000 0.0000 0.0000 10.9831" Properties=species:S:1:pos:R:3 pbc="T T T"
Ba 0.3542 1.3222 1.3718
Ba 0.3542 4.8889 6.8633
Ba 1.2660 7.9390 0.3422
Ba 1.2660 10.6943 5.8337
Ba 2.1873 1.5125 7.9315
Ba 2.1873 4.6986 2.4399
Ba 3.0940 7.7236 7.9315
Ba 3.0940 10.9097 2.4399
Ba 4.0154 1.7279 0.3422
Ba 4.0154 4.4832 5.8337
Ba 4.9271 7.5333 1.3718
Ba 4.9271 11.1000 6.8633
Ba 5.6355 1.3222 4.1198
Ba 5.6355 4.8889 9.6113
Ba 6.5473 7.9390 5.1494
Ba 6.5473 10.6943 10.6409
Ba 7.4686 1.5125 8.5431
Ba 7.4686 4.6986 3.0516
Ba 8.3753 7.7236 8.5431
Ba 8.3753 10.9097 3.0516
Ba 9.2967 1.7279 5.1494
Ba 9.2967 4.4832 10.6409
Ba 10.2084 7.5333 4.1198
Ba 10.2084 11.1000 9.6113
W 2.1367 1.4270 4.4494
W 2.1367 4.7841 9.9409
W 3.1447 7.6381 4.4494
W 3.1447 10.9951 9.9409
W 7.4180 1.4270 1.0421
W 7.4180 4.7841 6.5337
W 8.4260 7.6381 1.0421
W 8.4260 10.9951 6.5337
N 0.8112 0.2261 3.8172
N 0.8112 5.9850 9.3087
N 1.3053 2.7041 5.5562
N 1.3053 3.5070 0.0646
N 1.9655 6.6721 5.5699
N 1.9655 11.9612 0.0784
N 2.1806 8.4353 3.0149
N 2.1806 10.1980 8.5064
N 3.1008 2.2242 3.0149
N 3.1008 3.9869 8.5064
N 3.3158 0.4610 5.5699
N 3.3158 5.7501 0.0784
N 3.9761 8.9152 5.5562
N 3.9761 9.7180 0.0646
N 4.4701 6.4372 3.8172
N 4.4701 12.1960 9.3087
N 6.0926 0.2261 1.6743
N 6.0926 5.9850 7.1659
N 6.5866 2.7041 10.9184
N 6.5866 3.5070 5.4269
N 7.2468 6.6721 10.9047
N 7.2468 11.9612 5.4131
N 7.4619 8.4353 2.4766
N 7.4619 10.1980 7.9682
N 8.3821 2.2242 2.4766
N 8.3821 3.9869 7.9682
N 8.5971 0.4610 10.9047
N 8.5971 5.7501 5.4131
N 9.2574 8.9152 10.9184
N 9.2574 9.7180 5.4269
N 9.7514 6.4372 1.6743
N 9.7514 12.1960 7.1659
```

---

Which one sits at the bottom of the stability order? P) does.

---

P) A plane-wave DFT calculation with PBE was carried out for a geometry-optimized BaNa structure.

## Properties
- Crystal system: cubic

extended XYZ file:
```
24
Lattice="0.0000 8.4994 8.4994 8.4994 0.0000 8.4994 8.4994 8.4994 0.0000" Properties=species:S:1:pos:R:3 pbc="T T T"
Ba 6.3745 6.3745 1.1750
Ba 6.3745 1.1750 6.3745
Ba 11.5741 6.3745 6.3745
Ba 10.6242 10.6242 5.4247
Ba 10.6242 5.4247 10.6242
Ba 15.8238 10.6242 10.6242
Ba 1.1750 6.3745 6.3745
Ba 6.3745 11.5741 6.3745
Ba 6.3745 6.3745 11.5741
Ba 5.4247 10.6242 10.6242
Ba 10.6242 15.8238 10.6242
Ba 10.6242 10.6242 15.8238
Na 8.4994 4.2497 4.2497
Na 5.0372 5.0372 5.0372
Na 7.7118 7.7118 5.0372
Na 7.7118 5.0372 7.7118
Na 11.9615 9.2869 9.2869
Na 4.2497 8.4994 4.2497
Na 4.2497 4.2497 8.4994
Na 8.4994 8.4994 8.4994
Na 5.0372 7.7118 7.7118
Na 9.2869 11.9615 9.2869
Na 9.2869 9.2869 11.9615
Na 11.9615 11.9615 11.9615
```

---

Q) A plane-wave DFT calculation with PBE was carried out for a geometry-optimized BaNa structure.

## Properties
- Crystal system: cubic

extended XYZ file:
```
24
Lattice="0.0000 8.9184 8.9184 8.9184 0.0000 8.9184 8.9184 8.9184 0.0000" Properties=species:S:1:pos:R:3 pbc="T T T"
Ba 0.0000 0.0000 0.0000
Ba 4.4592 4.4592 0.0000
Ba 4.4592 0.0000 4.4592
Ba 13.9594 8.3365 8.3365
Ba 3.8773 3.8773 3.8773
Ba 9.5003 9.5003 3.8773
Ba 9.5003 3.8773 9.5003
Ba 0.0000 4.4592 4.4592
Ba 8.3365 13.9594 8.3365
Ba 8.3365 8.3365 13.9594
Ba 13.9594 13.9594 13.9594
Ba 3.8773 9.5003 9.5003
Na 6.6888 6.6888 2.9125
Na 6.6888 2.9125 6.6888
Na 10.4650 6.6888 6.6888
Na 11.1480 11.1480 7.3717
Na 11.1480 7.3717 11.1480
Na 14.9242 11.1480 11.1480
Na 2.9125 6.6888 6.6888
Na 6.6888 10.4650 6.6888
Na 6.6888 6.6888 10.4650
Na 7.3717 11.1480 11.1480
Na 11.1480 14.9242 11.1480
Na 11.1480 11.1480 14.9242
```

---

Which one sits at the bottom of the stability order? Q) does.